Record 1
Entry from the Materials Project database: a relaxed BaCaLaSbO6 crystal (PBE).

```
BaCaLaSbO6
1.0
0.0000 -4.3330 -4.3330
4.3330 0.0000 -4.3330
4.3330 -4.3330 0.0000
O Ba La Sb Ca
6 1 1 1 1
Cartesian
4.3330 -2.3290 -4.3330
4.3330 -4.3330 -2.3290
4.3330 -4.3330 -6.3369
4.3330 -6.3369 -4.3330
2.3290 -4.3330 -4.3330
6.3369 -4.3330 -4.3330
6.4994 -6.4994 -6.4994
0.0000 0.0000 0.0000
4.3330 -4.3330 -4.3330
2.1665 -2.1665 -2.1665
```

Output
DFT formation energy = -2907 meV per atom
total energy = -6.762 eV/atom
E above lowest polymorph = 2.186 kcal/mol of atoms
size of the total moment = 0.000 μB/cell

***

Record 2
Entry from the Materials Project database: a relaxed BaCaLaSbO6 crystal (PBE).

```
BaCaLaSbO6
1.0
-3.7746 -3.8489 2.6550
2.8064 -4.6279 -2.7570
5.4194 -0.5773 6.6333
O Ba Sb Ca La
12 2 2 2 2
Cartesian
1.8802 -2.8079 6.7611
3.7613 -4.5485 2.3066
2.9714 -2.0266 3.5480
2.5710 -6.2462 -0.2298
-0.2577 -6.7643 0.2309
2.4611 -2.4203 0.7665
-1.6299 -3.9225 1.3659
1.9901 -6.6339 5.7648
4.7089 -2.2898 6.3004
1.4798 -7.0276 2.9834
0.6899 -4.5056 4.2248
6.0811 -5.1316 5.1655
3.5069 -4.5058 4.9922
0.9443 -4.5484 1.5391
4.1129 -2.6026 1.9382
-1.8873 -1.9245 1.3275
-2.2428 -4.1450 4.2147
6.6940 -4.9091 2.3166
1.4032 -2.3139 -1.3785
0.8224 -2.2131 4.6442
```

Output
DFT formation energy = -3002 meV per atom
total energy = -6.857 eV/atom
E above lowest polymorph = 0.000 kcal/mol of atoms
size of the total moment = 0.000 μB/cell